Density functional theory data (PBE with a Hubbard U) for a relaxed structure of Li2MnFe3O8.

Calculated values
As for the total moment: 34.0 μB/cell. The calculation puts the distance to the lowest polymorph of the same formula at 36 meV per atom. Its energy of formation from the pure elements is -1.783 eV/atom.

Cell lengths 5.908, 5.908, 9.552 Å; angles 90.00, 90.00, 120.00 degrees
Positions (direct):
Li 0.000 0.000 0.000
Li 0.000 0.000 0.500
Li 0.333 0.667 0.403
Li 0.667 0.333 0.903
Mn 0.333 0.667 0.988
Mn 0.667 0.333 0.488
Fe 0.169 0.339 0.718
Fe 0.169 0.831 0.718
Fe 0.339 0.169 0.218
Fe 0.661 0.831 0.718
Fe 0.831 0.169 0.218
Fe 0.831 0.661 0.218
O 0.000 0.000 0.313
O 0.000 0.000 0.813
O 0.042 0.521 0.853
O 0.169 0.338 0.104
O 0.169 0.831 0.104
O 0.333 0.667 0.610
O 0.338 0.169 0.604
O 0.479 0.521 0.853
O 0.479 0.958 0.853
O 0.521 0.042 0.353
O 0.521 0.479 0.353
O 0.662 0.831 0.104
O 0.667 0.333 0.110
O 0.831 0.169 0.604
O 0.831 0.662 0.604
O 0.958 0.479 0.353



Density functional theory data (PBE with a Hubbard U) for a relaxed structure of Li5Mn7Fe3O20.

Calculated values
As for the total moment: 76.0 μB/cell. The calculation puts the distance to the lowest polymorph of the same formula at 0 meV per atom. Its energy of formation from the pure elements is -1.990 eV/atom.

Cell lengths 5.940, 5.945, 24.439 Å; angles 83.89, 83.34, 60.70 degrees
Positions (direct):
Li 0.000 0.000 0.000
Li 0.040 0.051 0.854
Li 0.186 0.193 0.403
Li 0.262 0.237 0.254
Li 0.403 0.382 0.801
Li 0.449 0.459 0.650
Li 0.593 0.601 0.200
Li 0.648 0.633 0.056
Li 0.804 0.779 0.603
Li 0.844 0.861 0.450
Mn 0.021 0.522 0.928
Mn 0.123 0.616 0.128
Mn 0.124 0.116 0.127
Mn 0.126 0.117 0.627
Mn 0.222 0.719 0.327
Mn 0.322 0.822 0.527
Mn 0.425 0.919 0.727
Mn 0.511 0.533 0.427
Mn 0.521 0.521 0.928
Mn 0.522 0.020 0.927
Mn 0.625 0.116 0.128
Mn 0.723 0.220 0.328
Mn 0.822 0.321 0.526
Mn 0.924 0.419 0.726
Fe 0.322 0.322 0.527
Fe 0.324 0.316 0.028
Fe 0.724 0.721 0.327
Fe 0.725 0.714 0.827
Fe 0.923 0.917 0.727
Fe 0.929 0.918 0.228
O 0.007 0.441 0.083
O 0.016 0.959 0.578
O 0.047 0.576 0.773
O 0.067 0.596 0.281
O 0.076 0.039 0.282
O 0.076 0.086 0.768
O 0.165 0.157 0.486
O 0.195 0.635 0.974
O 0.196 0.184 0.972
O 0.202 0.663 0.479
O 0.241 0.792 0.171
O 0.243 0.267 0.677
O 0.261 0.813 0.677
O 0.293 0.236 0.171
O 0.372 0.404 0.377
O 0.381 0.836 0.376
O 0.402 0.350 0.884
O 0.403 0.847 0.882
O 0.440 0.984 0.575
O 0.455 0.998 0.082
O 0.461 0.441 0.084
O 0.480 0.486 0.567
O 0.560 0.564 0.285
O 0.585 0.033 0.774
O 0.605 0.565 0.772
O 0.609 0.059 0.281
O 0.628 0.685 0.475
O 0.640 0.693 0.972
O 0.642 0.191 0.972
O 0.649 0.221 0.476
O 0.772 0.753 0.685
O 0.789 0.791 0.172
O 0.796 0.236 0.173
O 0.815 0.252 0.677
O 0.824 0.391 0.377
O 0.848 0.405 0.883
O 0.848 0.855 0.882
O 0.887 0.873 0.369
O 0.954 0.996 0.083
O 0.991 0.424 0.576



Density functional theory data (PBE with a Hubbard U) for a relaxed structure of Li4Mn5Fe4O18.

Calculated values
As for the total moment: 70.0 μB/cell. The calculation puts the distance to the lowest polymorph of the same formula at 0 meV per atom. Its energy of formation from the pure elements is -1.847 eV/atom.

Cell lengths 9.108, 2.912, 24.783 Å; angles 90.00, 90.08, 90.00 degrees
Positions (direct):
Li 0.000 0.000 0.000
Li 0.022 0.000 0.212
Li 0.110 0.000 0.710
Li 0.132 0.000 0.500
Li 0.499 0.000 0.518
Li 0.522 0.000 0.306
Li 0.604 0.000 0.802
Li 0.632 0.000 0.018
Mn 0.162 0.500 0.318
Mn 0.314 0.000 0.405
Mn 0.317 0.000 0.010
Mn 0.317 0.000 0.612
Mn 0.469 0.500 0.700
Mn 0.661 0.500 0.199
Mn 0.814 0.000 0.112
Mn 0.815 0.000 0.509
Mn 0.815 0.000 0.905
Mn 0.971 0.500 0.819
Fe 0.159 0.500 0.097
Fe 0.302 0.000 0.817
Fe 0.322 0.000 0.201
Fe 0.468 0.500 0.921
Fe 0.660 0.500 0.421
Fe 0.808 0.000 0.702
Fe 0.823 0.000 0.315
Fe 0.971 0.500 0.596
O 0.009 0.000 0.868
O 0.010 0.000 0.088
O 0.121 0.000 0.588
O 0.122 0.000 0.367
O 0.173 0.500 0.794
O 0.174 0.500 0.012
O 0.187 0.500 0.177
O 0.210 0.000 0.270
O 0.258 0.500 0.450
O 0.274 0.500 0.666
O 0.306 0.000 0.088
O 0.324 0.000 0.932
O 0.357 0.500 0.351
O 0.372 0.500 0.567
O 0.423 0.000 0.748
O 0.429 0.500 0.842
O 0.460 0.500 0.007
O 0.460 0.500 0.223
O 0.508 0.000 0.650
O 0.509 0.000 0.429
O 0.618 0.000 0.928
O 0.623 0.000 0.150
O 0.671 0.500 0.725
O 0.672 0.500 0.506
O 0.690 0.500 0.340
O 0.709 0.000 0.247
O 0.758 0.500 0.066
O 0.774 0.500 0.851
O 0.805 0.000 0.431
O 0.825 0.000 0.587
O 0.857 0.500 0.166
O 0.870 0.500 0.950
O 0.926 0.000 0.770
O 0.941 0.500 0.677
O 0.958 0.500 0.511
O 0.960 0.500 0.292



Density functional theory data (PBE with a Hubbard U) for a relaxed structure of Li5Mn8Fe11O32.

Calculated values
As for the total moment: 81.0 μB/cell. Its energy of formation from the pure elements is -1.861 eV/atom.

Cell lengths 5.980, 5.980, 20.061 Å; angles 100.03, 100.03, 60.81 degrees
Positions (direct):
Li 0.000 0.000 0.000
Li 0.074 0.074 0.184
Li 0.254 0.254 0.739
Li 0.504 0.504 0.492
Li 0.825 0.825 0.439
Mn 0.039 0.039 0.587
Mn 0.165 0.165 0.466
Mn 0.283 0.283 0.343
Mn 0.412 0.412 0.215
Mn 0.537 0.537 0.092
Mn 0.660 0.660 0.968
Mn 0.789 0.789 0.840
Mn 0.911 0.911 0.714
Fe 0.035 0.537 0.092
Fe 0.039 0.536 0.587
Fe 0.277 0.792 0.838
Fe 0.282 0.787 0.344
Fe 0.321 0.321 0.935
Fe 0.536 0.039 0.587
Fe 0.537 0.035 0.092
Fe 0.569 0.569 0.685
Fe 0.752 0.752 0.251
Fe 0.787 0.282 0.344
Fe 0.792 0.277 0.838
O 0.005 0.436 0.402
O 0.082 0.082 0.778
O 0.082 0.636 0.775
O 0.103 0.103 0.289
O 0.126 0.568 0.285
O 0.188 0.746 0.655
O 0.218 0.218 0.640
O 0.246 0.246 0.151
O 0.250 0.693 0.147
O 0.335 0.888 0.523
O 0.336 0.336 0.528
O 0.354 0.354 0.033
O 0.378 0.822 0.036
O 0.436 0.005 0.402
O 0.465 0.465 0.393
O 0.476 0.963 0.902
O 0.486 0.486 0.902
O 0.568 0.126 0.285
O 0.578 0.578 0.282
O 0.607 0.607 0.790
O 0.636 0.082 0.775
O 0.693 0.250 0.147
O 0.718 0.718 0.146
O 0.741 0.741 0.650
O 0.746 0.188 0.655
O 0.822 0.378 0.036
O 0.826 0.826 0.030
O 0.859 0.859 0.538
O 0.888 0.335 0.523
O 0.963 0.476 0.902
O 0.967 0.967 0.892
O 0.994 0.994 0.403



Which value of total moment does entry 2 give?
76.0 μB/cell



Among the records above, which one has the lowest energy of formation from the pure elements?
Li5Mn7Fe3O20